Entry 1:
40
Lattice="4.1220 0.0000 -0.4546 0.0000 10.8178 0.0000 -0.0039 0.0000 18.9891" Properties=species:S:1:pos:R:3 comment="B2S3 | the Materials Project database | r2SCAN | relaxed" total_energy_ev_per_fu=-41.25 magmom_total_mub_per_fu=0.000 pbc="T T T"
S 0.6763 0.3468 1.2385
S 3.4418 10.4710 17.2960
S 2.7354 5.0621 10.5057
S 0.4810 2.1348 12.8441
S 1.5054 2.5698 9.0488
S 1.3827 5.7557 8.0288
S 0.4232 0.2556 7.5764
S 1.6358 5.6645 1.6908
S 4.0842 7.5590 12.1961
S 3.6371 8.6830 5.6904
S 2.0251 8.6677 2.9289
S 0.5536 7.9787 0.2184
S 0.9223 4.7623 14.0151
S 2.9852 0.6466 4.2933
S 2.6127 8.2480 9.4856
S 3.1958 6.0555 4.5193
S 3.6949 10.5621 10.9581
S 0.0339 3.2588 6.3383
S 2.4823 5.1533 16.8436
S 3.5645 2.8391 18.3161
S 2.5439 3.2741 3.1222
S 1.5742 7.5437 15.4122
S 1.1329 10.1712 14.2412
S 2.0930 2.1501 15.6056
B 2.6514 3.3586 16.8212
B 3.6880 10.5055 5.6323
B 3.5257 8.7675 10.9805
B 1.4667 7.4591 1.7133
B 1.6251 5.7212 15.3542
B 1.2216 2.9911 14.2751
B 3.2845 2.4178 4.5533
B 3.8519 1.0629 18.3710
B 2.4930 5.0966 3.1803
B 2.8965 7.8267 4.2593
B 0.8336 8.4000 13.9812
B 0.2662 9.7549 0.1635
B 0.5924 2.0502 7.5540
B 2.3252 6.4718 9.4307
B 0.4301 0.3123 12.9021
B 1.7929 4.3460 9.1037


Entry 2:
48
Lattice="4.2069 0.0000 0.0000 0.0000 11.9223 -3.1142 0.0000 -0.0069 21.5610" Properties=species:S:1:pos:R:3 comment="BS2 | the Materials Project database | r2SCAN | relaxed" total_energy_ev_per_fu=-24.76 magmom_total_mub_per_fu=0.000 pbc="T T T"
B 1.3127 2.2912 9.4524
B 2.8941 9.6242 8.9944
B 1.5581 9.2959 16.2559
B 1.6147 8.5225 6.4916
B 2.5922 3.3929 11.9552
B 3.5423 5.8569 12.7099
B 2.7679 11.8216 0.3722
B 0.5454 3.3382 7.0325
B 2.6488 2.6195 2.1910
B 1.4389 0.0939 18.0746
B 0.6645 6.0585 5.7370
B 0.7907 8.2489 18.6758
B 3.7181 9.3575 -0.3824
B 0.4888 2.5579 18.8292
B 3.4162 3.6665 -0.2290
B 3.6615 8.5773 11.4144
S 1.0648 2.9074 17.1597
S 0.2264 7.9013 -1.1955
S 2.1805 4.3421 2.3982
S 2.0264 7.5733 16.0486
S 0.8036 9.8316 17.8055
S 1.8770 1.9366 11.1421
S 2.2528 1.6300 3.6610
S 0.6707 0.8263 8.6311
S 1.7821 1.0594 16.5977
S 2.4248 10.8560 1.8491
S 0.3213 7.0241 4.2601
S 1.2998 3.8738 8.5821
S 3.9805 4.0142 19.6424
S 3.5362 11.0891 9.8157
S 0.0771 1.6156 6.8252
S 3.4032 2.0839 0.6413
S 2.9071 8.0416 9.8647
S 3.1420 9.0081 1.2871
S 2.3298 9.9788 7.3047
S 4.1298 10.2999 11.6216
S 3.1682 3.0434 13.6247
S 1.0386 8.8720 4.8221
S 1.4366 6.8557 7.1595
S 1.9541 10.2854 14.7858
S 0.1493 4.3277 5.5624
S 3.8855 4.8914 14.1867
S 2.7741 5.1314 0.5923
S 2.7702 5.0597 11.2874
S 3.5400 11.0244 -1.0503
S 4.0575 7.5878 12.8844
S 1.4328 6.7840 17.8545
S 0.6668 0.8911 19.4971


Entry 3:
20
Lattice="6.0564 0.0000 0.0000 0.0000 7.4082 0.0000 0.0000 0.0000 8.8685" Properties=species:S:1:pos:R:3 comment="SmBS3 | the Materials Project database | r2SCAN | relaxed" total_energy_ev_per_fu=-68.41 magmom_total_mub_per_fu=0.000 pbc="T T T"
Sm 5.6739 6.5375 6.7242
Sm 0.3825 0.8707 2.2900
Sm 2.6457 4.5748 2.2900
Sm 3.4107 2.8334 6.7242
S 0.8172 5.8876 4.0531
S 1.0161 6.1227 0.4922
S 3.7052 7.3807 2.3698
S 5.3794 3.6765 2.3698
S 5.0403 1.2855 4.9265
S 4.0442 4.9896 4.9265
S 2.2110 2.1835 4.0531
S 0.6770 3.7317 6.8041
S 2.0121 2.4186 0.4922
S 2.3512 0.0276 6.8041
S 3.8453 5.2247 8.4873
S 5.2392 1.5206 8.4873
B 3.6288 1.0665 3.7969
B 2.4276 6.3417 8.2312
B 5.4558 4.7706 3.7969
B 0.6006 2.6376 8.2312